CaGe, optimized geometry, DFT PBE; E = -0.2922 Ry per atom
1.0
2.2942 -5.4433 0.0000
2.2942 5.4433 0.0000
0.0000 0.0000 4.0200
Ca Ge
2 2
Cartesian
2.2942 -1.4886 3.0150
2.2942 1.4886 1.0050
2.2942 -4.6069 3.0150
2.2942 4.6069 1.0050